A relaxed MgZn2Sb4O12 crystal, computed with PBE.

Calculated values
The total magnetization is 0.00 Bohr magnetons per cell. For the formation energy, the calculation gives -40.7 kcal/mol of atoms. As for the total energy: -105.332 eV per formula unit.

```
data_MgZn2Sb4O12
_chemical_formula_sum 'Mg1 Zn2 Sb4 O12'
_cell_length_a 4.980
_cell_length_b 4.980
_cell_length_c 9.738
_cell_angle_alpha 90.00
_cell_angle_beta 90.00
_cell_angle_gamma 90.00
_space_group_name_H-M_alt 'P -4'
_space_group_IT_number 81
loop_
_space_group_symop_operation_xyz
'x,y,z'
'y,-x,-z'
'-x,-y,z'
'-y,x,-z'
loop_
_atom_site_label
_atom_site_type_symbol
_atom_site_fract_x
_atom_site_fract_y
_atom_site_fract_z
Mg1 Mg 0.000 0.000 0.000
Zn1 Zn 0.000 0.500 0.251
Sb1 Sb 0.000 0.500 0.568
Sb2 Sb 0.000 0.500 0.887
O1 O 0.186 0.688 0.730
O2 O 0.192 0.708 0.085
O3 O 0.200 0.699 0.422
```


A relaxed Ho2Se3O9 crystal, computed with PBE.

Calculated values
The total magnetization is 0.00 Bohr magnetons per cell. For the formation energy, the calculation gives -52.4 kcal/mol of atoms. As for the total energy: -89.813 eV per formula unit.

```
data_Ho2Se3O9
_chemical_formula_sum 'Ho8 Se12 O36'
_cell_length_a 8.221
_cell_length_b 14.031
_cell_length_c 6.829
_cell_angle_alpha 90.00
_cell_angle_beta 90.00
_cell_angle_gamma 90.00
_space_group_name_H-M_alt 'P n m a'
_space_group_IT_number 62
loop_
_space_group_symop_operation_xyz
'x,y,z'
'-x,-y,-z'
'-x+1/2,-y,z+1/2'
'x+1/2,y,-z+1/2'
'x+1/2,-y+1/2,-z+1/2'
'-x+1/2,y+1/2,z+1/2'
'-x,y+1/2,-z'
'x,-y+1/2,z'
loop_
_atom_site_label
_atom_site_type_symbol
_atom_site_fract_x
_atom_site_fract_y
_atom_site_fract_z
Ho1 Ho 0.201 0.061 0.179
Se1 Se 0.045 0.750 0.906
Se2 Se 0.047 0.126 0.677
O1 O 0.054 0.650 0.756
O2 O 0.073 0.038 0.855
O3 O 0.127 0.575 0.409
O4 O 0.162 0.250 0.066
O5 O 0.207 0.095 0.524
```


A relaxed LiTiS2 crystal, computed with PBE.

Calculated values
For the formation energy, the calculation gives -38.7 kcal/mol of atoms. As for the total energy: -23.782 eV per formula unit.

```
data_LiTiS2
_chemical_formula_sum 'Li1 Ti1 S2'
_cell_length_a 3.4414
_cell_length_b 3.4414
_cell_length_c 6.2282
_cell_angle_alpha 90.00
_cell_angle_beta 90.00
_cell_angle_gamma 120.00
_space_group_name_H-M_alt 'P -3 m 1'
_space_group_IT_number 164
_space_group_name_Hall '-P 3 2"'
loop_
_atom_site_label
_atom_site_type_symbol
_atom_site_fract_x
_atom_site_fract_y
_atom_site_fract_z
Li1 Li 0.0000 0.0000 0.0000
Ti1 Ti 0.0000 0.0000 0.5000
S1 S 0.3333 0.6667 0.2633
```


A relaxed ErMnFe crystal, computed with PBE.

Calculated values
The total magnetization is 11.41 Bohr magnetons per cell. For the formation energy, the calculation gives -0.2 kcal/mol of atoms. As for the total energy: -22.223 eV per formula unit.

```
data_ErMnFe
_chemical_formula_sum 'Er4 Mn4 Fe4'
_cell_length_a 5.083
_cell_length_b 5.129
_cell_length_c 7.223
_cell_angle_alpha 90.00
_cell_angle_beta 90.00
_cell_angle_gamma 90.00
_space_group_name_H-M_alt 'I m m a'
_space_group_IT_number 74
_space_group_name_Hall '-I 2b 2'
loop_
_atom_site_label
_atom_site_type_symbol
_atom_site_fract_x
_atom_site_fract_y
_atom_site_fract_z
Er1 Er 0.000 0.250 0.124
Mn1 Mn 0.000 0.000 0.500
Fe1 Fe 0.250 0.250 0.750
```


A relaxed InPF3 crystal, computed with PBE.

Calculated values
The total magnetization is 3.00 Bohr magnetons per cell. For the formation energy, the calculation gives -37.5 kcal/mol of atoms. As for the total energy: -20.654 eV per formula unit.

```
data_InPF3
_chemical_formula_sum 'In3 P3 F9'
_cell_length_a 6.1652
_cell_length_b 6.1652
_cell_length_c 11.2888
_cell_angle_alpha 90.00
_cell_angle_beta 90.00
_cell_angle_gamma 120.00
_space_group_name_H-M_alt 'R 3'
_space_group_IT_number 146
_space_group_name_Hall 'R 3'
loop_
_atom_site_label
_atom_site_type_symbol
_atom_site_fract_x
_atom_site_fract_y
_atom_site_fract_z
In1 In 0.0000 0.0000 0.0000
P1 P 0.0000 0.0000 0.5274
F1 F 0.0097 0.4110 0.1720
```


A relaxed BaHo2ZnO5 crystal, computed with PBE.

Calculated values
The total magnetization is 0.00 Bohr magnetons per cell. For the formation energy, the calculation gives -75.5 kcal/mol of atoms. As for the total energy: -63.107 eV per formula unit.

```
data_BaHo2ZnO5
_chemical_formula_sum 'Ba4 Ho8 Zn4 O20'
_cell_length_a 12.400
_cell_length_b 5.742
_cell_length_c 7.123
_cell_angle_alpha 90.00
_cell_angle_beta 90.00
_cell_angle_gamma 90.00
_space_group_name_H-M_alt 'P n m a'
_space_group_IT_number 62
loop_
_space_group_symop_operation_xyz
'x,y,z'
'-x,-y,-z'
'-x+1/2,-y,z+1/2'
'x+1/2,y,-z+1/2'
'x+1/2,-y+1/2,-z+1/2'
'-x+1/2,y+1/2,z+1/2'
'-x,y+1/2,-z'
'x,-y+1/2,z'
loop_
_atom_site_label
_atom_site_type_symbol
_atom_site_fract_x
_atom_site_fract_y
_atom_site_fract_z
Ba1 Ba 0.102 0.250 0.077
Ho1 Ho 0.074 0.750 0.400
Ho2 Ho 0.208 0.250 0.618
Zn1 Zn 0.150 0.750 0.808
O1 O 0.066 0.501 0.662
O2 O 0.101 0.750 0.076
O3 O 0.225 0.000 0.359
```


A relaxed La3Pd4 crystal, computed with PBE.

Calculated values
For the formation energy, the calculation gives -19.5 kcal/mol of atoms. As for the total energy: -41.459 eV per formula unit.

```
data_La3Pd4
_chemical_formula_sum 'La18 Pd24'
_cell_length_a 13.9988
_cell_length_b 13.9988
_cell_length_c 5.8831
_cell_angle_alpha 90.00
_cell_angle_beta 90.00
_cell_angle_gamma 120.00
_space_group_name_H-M_alt 'R -3'
_space_group_IT_number 148
_space_group_name_Hall '-R 3'
loop_
_atom_site_label
_atom_site_type_symbol
_atom_site_fract_x
_atom_site_fract_y
_atom_site_fract_z
La1 La 0.0418 0.8325 0.2380
Pd1 Pd 0.0000 0.0000 0.0000
Pd2 Pd 0.0000 0.0000 0.5000
Pd3 Pd 0.0559 0.7805 0.7220
```


A relaxed PrSnAu2 crystal, computed with PBE.

Calculated values
For the formation energy, the calculation gives -15.9 kcal/mol of atoms. As for the total energy: -18.090 eV per formula unit.

```
data_PrSnAu2
_chemical_formula_sum 'Pr4 Sn4 Au8'
_cell_length_a 7.223
_cell_length_b 7.223
_cell_length_c 7.223
_cell_angle_alpha 90.00
_cell_angle_beta 90.00
_cell_angle_gamma 90.00
_space_group_name_H-M_alt 'F m -3 m'
_space_group_IT_number 225
_space_group_name_Hall '-F 4 2 3'
loop_
_atom_site_label
_atom_site_type_symbol
_atom_site_fract_x
_atom_site_fract_y
_atom_site_fract_z
Pr1 Pr 0.000 0.000 0.000
Sn1 Sn 0.000 0.000 0.500
Au1 Au 0.250 0.250 0.250
```


What is the formula in the fourth record? ErMnFe


Look up the total energy of the fourth one. -22.223 eV per formula unit